[1]
DFT (PBE) results for crystalline Li2Ca3Be3Si3O12F2 at its relaxed geometry.

magnetization	0.0	μB per formula unit
calculated volume	1098.78	Å³/cell
symmetry	I2_13, No. 199
formation enthalpy at 0 K	-3345	meV per atom

Unit cell a=11.2593 b=11.2593 c=11.2593 alpha=109.47 beta=109.47 gamma=109.47
Element x y z (fractional)
Li 0.0000 0.0394 0.5000
Li 0.0000 0.5429 0.5000
Li 0.0394 0.5000 0.0000
Li 0.4606 0.4606 0.4606
Li 0.5000 0.0000 0.0394
Li 0.5000 0.0000 0.5429
Li 0.5429 0.5000 0.0000
Li 0.9571 0.9571 0.9571
Ca 0.0860 0.2500 0.3360
Ca 0.1640 0.4140 0.7500
Ca 0.2500 0.3360 0.0860
Ca 0.2500 0.9059 0.6559
Ca 0.3360 0.0860 0.2500
Ca 0.4140 0.7500 0.1640
Ca 0.5941 0.8441 0.7500
Ca 0.6559 0.2500 0.9059
Ca 0.7500 0.1640 0.4140
Ca 0.7500 0.5941 0.8441
Ca 0.8441 0.7500 0.5941
Ca 0.9059 0.6559 0.2500
Be 0.0353 0.4597 0.2364
Be 0.0403 0.0756 0.7767
Be 0.0756 0.7767 0.0403
Be 0.2364 0.0353 0.4597
Be 0.2636 0.7233 0.7989
Be 0.4244 0.4647 0.7011
Be 0.4597 0.2364 0.0353
Be 0.4647 0.7011 0.4244
Be 0.7011 0.4244 0.4647
Be 0.7233 0.7989 0.2636
Be 0.7767 0.0403 0.0756
Be 0.7989 0.2636 0.7233
Si 0.2038 0.9684 0.9245
Si 0.2207 0.7646 0.2962
Si 0.2793 0.5755 0.5439
Si 0.2962 0.2207 0.7646
Si 0.5316 0.7354 0.9561
Si 0.5439 0.2793 0.5755
Si 0.5755 0.5439 0.2793
Si 0.7354 0.9561 0.5316
Si 0.7646 0.2962 0.2207
Si 0.9245 0.2038 0.9684
Si 0.9561 0.5316 0.7354
Si 0.9684 0.9245 0.2038
O 0.0042 0.1194 0.9095
O 0.0499 0.3254 0.1398
O 0.0882 0.5960 0.2089
O 0.0897 0.9511 0.7752
O 0.0947 0.5905 0.7100
O 0.1152 0.4958 0.4053
O 0.1194 0.9095 0.0042
O 0.1398 0.0499 0.3254
O 0.1746 0.2245 0.8145
O 0.1854 0.8613 0.4103
O 0.2089 0.0882 0.5960
O 0.2245 0.8145 0.1746
O 0.2755 0.4501 0.5900
O 0.2911 0.8871 0.8793
O 0.3146 0.7248 0.6759
O 0.3254 0.1398 0.0499
O 0.3602 0.6855 0.9100
O 0.3806 0.3848 0.7900
O 0.3848 0.7900 0.3806
O 0.4053 0.1152 0.4958
O 0.4103 0.1854 0.8613
O 0.4118 0.6207 0.5078
O 0.4501 0.5900 0.2755
O 0.4958 0.4053 0.1152
O 0.5078 0.4118 0.6207
O 0.5489 0.6387 0.8241
O 0.5900 0.2755 0.4501
O 0.5905 0.7100 0.0947
O 0.5960 0.2089 0.0882
O 0.6129 0.9040 0.9922
O 0.6207 0.5078 0.4118
O 0.6387 0.8241 0.5489
O 0.6759 0.3146 0.7248
O 0.6855 0.9100 0.3602
O 0.7100 0.0947 0.5905
O 0.7248 0.6759 0.3146
O 0.7752 0.0897 0.9511
O 0.7900 0.3806 0.3848
O 0.8145 0.1746 0.2245
O 0.8241 0.5489 0.6387
O 0.8613 0.4103 0.1854
O 0.8793 0.2911 0.8871
O 0.8871 0.8793 0.2911
O 0.9040 0.9922 0.6129
O 0.9095 0.0042 0.1194
O 0.9100 0.3602 0.6855
O 0.9511 0.7752 0.0897
O 0.9922 0.6129 0.9040
F 0.0000 0.2100 0.5000
F 0.0000 0.7100 0.5000
F 0.2100 0.5000 0.0000
F 0.2900 0.2900 0.2900
F 0.5000 0.0000 0.2100
F 0.5000 0.0000 0.7100
F 0.7100 0.5000 0.0000
F 0.7900 0.7900 0.7900

=====

[2]
DFT (PBE) results for crystalline NaYTe4O10 at its relaxed geometry.

magnetization	0.0	μB per formula unit
calculated volume	1133.08	Å³/cell
symmetry	P4_2/nbc, No. 133
formation enthalpy at 0 K	-2017	meV per atom

Unit cell a=9.1107 b=9.1107 c=13.6507 alpha=90.00 beta=90.00 gamma=90.00
Element x y z (fractional)
Na 0.2500 0.2500 0.2500
Na 0.2500 0.2500 0.7500
Na 0.7500 0.7500 0.2500
Na 0.7500 0.7500 0.7500
Y 0.2500 0.2500 0.0000
Y 0.2500 0.2500 0.5000
Y 0.7500 0.7500 0.0000
Y 0.7500 0.7500 0.5000
Te 0.0330 0.5555 0.1207
Te 0.0330 0.9445 0.8793
Te 0.0555 0.5330 0.6207
Te 0.0555 0.9670 0.3793
Te 0.4445 0.5330 0.3793
Te 0.4445 0.9670 0.6207
Te 0.4670 0.5555 0.8793
Te 0.4670 0.9445 0.1207
Te 0.5330 0.0555 0.8793
Te 0.5330 0.4445 0.1207
Te 0.5555 0.0330 0.3793
Te 0.5555 0.4670 0.6207
Te 0.9445 0.0330 0.6207
Te 0.9445 0.4670 0.3793
Te 0.9670 0.0555 0.1207
Te 0.9670 0.4445 0.8793
O 0.0297 0.1260 0.9472
O 0.0297 0.3740 0.0528
O 0.0465 0.0465 0.7500
O 0.0465 0.4535 0.2500
O 0.0931 0.1705 0.3727
O 0.0931 0.3295 0.6273
O 0.1260 0.0297 0.5528
O 0.1260 0.4703 0.4472
O 0.1705 0.0931 0.1273
O 0.1705 0.4069 0.8727
O 0.3295 0.0931 0.8727
O 0.3295 0.4069 0.1273
O 0.3740 0.0297 0.4472
O 0.3740 0.4703 0.5528
O 0.4069 0.1705 0.6273
O 0.4069 0.3295 0.3727
O 0.4535 0.0465 0.2500
O 0.4535 0.4535 0.7500
O 0.4703 0.1260 0.0528
O 0.4703 0.3740 0.9472
O 0.5297 0.6260 0.0528
O 0.5297 0.8740 0.9472
O 0.5465 0.5465 0.2500
O 0.5465 0.9535 0.7500
O 0.5931 0.6705 0.6273
O 0.5931 0.8295 0.3727
O 0.6260 0.5297 0.4472
O 0.6260 0.9703 0.5528
O 0.6705 0.5931 0.8727
O 0.6705 0.9069 0.1273
O 0.8295 0.5931 0.1273
O 0.8295 0.9069 0.8727
O 0.8740 0.5297 0.5528
O 0.8740 0.9703 0.4472
O 0.9069 0.6705 0.3727
O 0.9069 0.8295 0.6273
O 0.9535 0.5465 0.7500
O 0.9535 0.9535 0.2500
O 0.9703 0.6260 0.9472
O 0.9703 0.8740 0.0528

=====

Question: What is the formula in the first record?
Answer: Li2Ca3Be3Si3O12F2

=====

Question: Which of these has the highest calculated volume?
Answer: NaYTe4O10

=====

Question: Look up the magnetization of the second one.
Answer: 0.0 μB per formula unit